1.
DFT (PBE) results for a geometry-optimized ErSi structure.

Results
Energy of formation from the pure elements ... -0.789 eV per atom
Symmetry ... No. 63

Cell lengths 5.632, 5.632, 3.804 Å; angles 90.00, 90.00, 135.79 degrees
Atoms (fractional coordinates):
Er 0.140 0.860 0.750
Er 0.860 0.140 0.250
Si 0.423 0.577 0.750
Si 0.577 0.423 0.250

=====

2.
DFT (PBE) results for a geometry-optimized LiCdO3 structure.

Results
Energy of formation from the pure elements ... -0.683 eV per atom
Symmetry ... No. 221

Cell lengths 3.762, 3.762, 3.762 Å; angles 90.00, 90.00, 90.00 degrees
Atoms (fractional coordinates):
Li 0.000 0.000 0.000
Cd 0.500 0.500 0.500
O 0.000 0.000 0.500
O 0.000 0.500 0.000
O 0.500 0.000 0.000